1.
EuIBr | PBE-GGA | optimized geometry

Crystal system: orthorhombic
Formation energy, kcal/mol of atoms: -46.25

```
EuIBr
1.0
8.473 0.000 0.000
0.000 4.812 0.000
0.000 0.000 9.806
Eu I Br
4 4 4
direct
0.226 0.250 0.128 Eu
0.274 0.750 0.628 Eu
0.726 0.250 0.372 Eu
0.774 0.750 0.872 Eu
0.027 0.750 0.333 I
0.473 0.250 0.833 I
0.527 0.750 0.167 I
0.973 0.250 0.667 I
0.145 0.750 0.935 Br
0.355 0.250 0.435 Br
0.645 0.750 0.565 Br
0.855 0.250 0.065 Br
```


2.
NdCd3 | PBE-GGA | optimized geometry

Crystal system: cubic
Formation energy, kcal/mol of atoms: -7.07

```
NdCd3
1.0
0.000 3.661 3.661
3.661 0.000 3.661
3.661 3.661 0.000
Nd Cd
1 3
direct
0.000 0.000 0.000 Nd
0.250 0.250 0.250 Cd
0.500 0.500 0.500 Cd
0.750 0.750 0.750 Cd
```


3.
MgSi2 | PBE-GGA | optimized geometry

Distance to the lowest polymorph of the same formula, eV/atom: 0.081
Crystal system: orthorhombic
Formation energy, kcal/mol of atoms: 3.65

```
MgSi2
1.0
-2.012 3.231 3.923
2.012 -3.231 3.923
2.012 3.231 -3.923
Mg Si
2 4
direct
0.329 0.079 0.250 Mg
0.671 0.921 0.750 Mg
0.089 0.650 0.439 Si
0.289 0.350 0.939 Si
0.711 0.650 0.061 Si
0.911 0.350 0.561 Si
```


4.
SiO2 | PBE-GGA | optimized geometry

Largest piezoelectric modulus, C/m2: 0.16
Crystal system: tetragonal
Formation energy, kcal/mol of atoms: -71.97

```
SiO2
1.0
6.601 0.000 0.000
0.000 6.601 0.000
0.000 0.000 8.138
Si O
8 16
direct
0.039 0.260 0.404 Si
0.039 0.740 0.904 Si
0.260 0.039 0.096 Si
0.260 0.961 0.596 Si
0.740 0.039 0.596 Si
0.740 0.961 0.096 Si
0.961 0.260 0.904 Si
0.961 0.740 0.404 Si
0.000 0.500 0.387 O
0.000 0.500 0.887 O
0.166 0.191 0.570 O
0.166 0.809 0.070 O
0.175 0.175 0.250 O
0.175 0.825 0.750 O
0.191 0.166 0.930 O
0.191 0.834 0.430 O
0.500 0.000 0.113 O
0.500 0.000 0.613 O
0.809 0.166 0.430 O
0.809 0.834 0.930 O
0.825 0.175 0.750 O
0.825 0.825 0.250 O
0.834 0.191 0.070 O
0.834 0.809 0.570 O
```


5.
BaMo2N4 | PBE-GGA | optimized geometry

Crystal system: cubic
Formation energy, kcal/mol of atoms: -15.66

```
BaMo2N4
1.0
11.204 0.000 0.000
0.000 11.204 0.000
0.000 0.000 11.204
Ba Mo N
12 24 48
direct
0.000 0.000 0.000 Ba
0.000 0.500 0.500 Ba
0.129 0.629 0.871 Ba
0.129 0.871 0.371 Ba
0.371 0.129 0.871 Ba
0.371 0.371 0.371 Ba
0.500 0.000 0.500 Ba
0.500 0.500 0.000 Ba
0.629 0.629 0.629 Ba
0.629 0.871 0.129 Ba
0.871 0.129 0.629 Ba
0.871 0.371 0.129 Ba
0.104 0.194 0.348 Mo
0.104 0.306 0.848 Mo
0.152 0.604 0.194 Mo
0.152 0.896 0.694 Mo
0.194 0.152 0.604 Mo
0.194 0.348 0.104 Mo
0.306 0.652 0.604 Mo
0.306 0.848 0.104 Mo
0.348 0.104 0.194 Mo
0.348 0.396 0.694 Mo
0.396 0.694 0.348 Mo
0.396 0.806 0.848 Mo
0.604 0.194 0.152 Mo
0.604 0.306 0.652 Mo
0.652 0.604 0.306 Mo
0.652 0.896 0.806 Mo
0.694 0.152 0.896 Mo
0.694 0.348 0.396 Mo
0.806 0.652 0.896 Mo
0.806 0.848 0.396 Mo
0.848 0.104 0.306 Mo
0.848 0.396 0.806 Mo
0.896 0.694 0.152 Mo
0.896 0.806 0.652 Mo
0.011 0.072 0.267 N
0.011 0.428 0.767 N
0.072 0.233 0.511 N
0.072 0.267 0.011 N
0.122 0.162 0.758 N
0.122 0.338 0.258 N
0.162 0.742 0.622 N
0.162 0.758 0.122 N
0.233 0.511 0.072 N
0.233 0.989 0.572 N
0.242 0.622 0.338 N
0.242 0.878 0.838 N
0.258 0.122 0.338 N
0.258 0.378 0.838 N
0.267 0.011 0.072 N
0.267 0.489 0.572 N
0.338 0.242 0.622 N
0.338 0.258 0.122 N
0.378 0.662 0.758 N
0.378 0.838 0.258 N
0.428 0.733 0.511 N
0.428 0.767 0.011 N
0.489 0.572 0.267 N
0.489 0.928 0.767 N
0.511 0.072 0.233 N
0.511 0.428 0.733 N
0.572 0.233 0.989 N
0.572 0.267 0.489 N
0.622 0.162 0.742 N
0.622 0.338 0.242 N
0.662 0.742 0.878 N
0.662 0.758 0.378 N
0.733 0.511 0.428 N
0.733 0.989 0.928 N
0.742 0.622 0.162 N
0.742 0.878 0.662 N
0.758 0.122 0.162 N
0.758 0.378 0.662 N
0.767 0.011 0.428 N
0.767 0.489 0.928 N
0.838 0.242 0.878 N
0.838 0.258 0.378 N
0.878 0.662 0.742 N
0.878 0.838 0.242 N
0.928 0.733 0.989 N
0.928 0.767 0.489 N
0.989 0.572 0.233 N
0.989 0.928 0.733 N
```


6.
V5As3 | PBE-GGA | optimized geometry

Distance to the lowest polymorph of the same formula, eV/atom: 0.002
Crystal system: orthorhombic
Formation energy, kcal/mol of atoms: -9.90

```
V5As3
1.0
9.429 0.000 0.000
0.000 7.522 0.000
0.000 0.000 6.464
V As
20 12
direct
0.010 0.250 0.028 V
0.077 0.059 0.705 V
0.077 0.441 0.705 V
0.222 0.750 0.350 V
0.248 0.250 0.301 V
0.252 0.750 0.801 V
0.278 0.250 0.850 V
0.423 0.559 0.205 V
0.423 0.941 0.205 V
0.490 0.750 0.528 V
0.510 0.250 0.472 V
0.577 0.059 0.795 V
0.577 0.441 0.795 V
0.722 0.750 0.150 V
0.748 0.250 0.199 V
0.752 0.750 0.699 V
0.778 0.250 0.650 V
0.923 0.559 0.295 V
0.923 0.941 0.295 V
0.990 0.750 0.972 V
0.011 0.750 0.583 As
0.171 0.515 0.074 As
0.171 0.985 0.074 As
0.329 0.015 0.574 As
0.329 0.485 0.574 As
0.489 0.250 0.083 As
0.511 0.750 0.917 As
0.671 0.515 0.426 As
0.671 0.985 0.426 As
0.829 0.015 0.926 As
0.829 0.485 0.926 As
0.989 0.250 0.417 As
```